VASP calculation (PBE) on an optimized crystal structure of Lu2GaTc. Values from VASP.

Properties
* DFT formation energy: -121 kJ/mol of formula units
* M_tot: 0.0003 μB per atom
* volume: 80 Å³/f.u.
* total DFT energy (no corrections): -23.69 eV per cell

Structure (Quantum ESPRESSO input):
```
&SYSTEM
  ibrav = 0, nat = 4, ntyp = 3
/
ATOMIC_SPECIES
Lu 174.97 Lu.upf
Ga 69.72 Ga.upf
Tc 98.00 Tc.upf
ATOMIC_POSITIONS crystal
Lu 0.250 0.250 0.250
Lu 0.750 0.750 0.750
Ga 0.500 0.500 0.500
Tc 0.000 0.000 0.000
CELL_PARAMETERS angstrom
0.000 3.426 3.426
3.426 0.000 3.426
3.426 3.426 0.000
```